No. 1
The following is a GGA+U calculation of crystalline Ba6MgCo2Sb4O18 at its relaxed geometry, from the Materials Project.

a = 5.9529 Å, b = 5.9267 Å, c = 16.0384 Å
α = 95.32°, β = 85.11°, γ = 119.49°
Fractional coordinates of all 31 atoms:
Ba (0.3575, 0.6248, 0.5904)
Co (0.9867, 0.0081, 0.9884)
O (0.6244, 0.8567, 0.0533)
Ba (0.0203, 0.9748, 0.7549)
Ba (0.3358, 0.6642, 0.9054)
O (0.9256, 0.6407, 0.2875)
O (0.6706, 0.7478, 0.4487)
O (0.8585, 0.1722, 0.9055)
O (0.4420, 0.5771, 0.2131)
O (0.5254, 0.4450, 0.7667)
Sb (0.6901, 0.2967, 0.6710)
O (0.1044, 0.8429, 0.0791)
O (0.2674, 0.2041, 0.3667)
Ba (0.6453, 0.3745, 0.0691)
O (0.8547, 0.6245, 0.6154)
Ba (0.7400, 0.2596, 0.4595)
Sb (0.6809, 0.3201, 0.8508)
Co (0.9588, 0.8851, 0.5232)
Sb (0.3266, 0.7331, 0.1319)
O (0.1480, 0.7332, 0.4601)
Mg (0.5605, 0.5604, 0.3335)
O (0.5396, 0.0078, 0.7581)
O (0.1185, 0.3810, 0.0783)
Sb (0.2595, 0.8612, 0.3424)
O (0.8830, 0.1466, 0.5986)
O (0.3889, 0.1313, 0.6021)
O (0.3602, 0.1695, 0.9227)
O (0.4435, 0.0506, 0.2052)
Ba (0.9801, 0.0922, 0.2117)
O (0.9765, 0.4520, 0.7570)
O (0.8478, 0.6620, 0.9110)

Calculated values
Its space group is P1. The volume is 490 Å³ per cell. The calculation puts the energy above the most stable polymorph in this dataset at 0 meV/atom. As for the total moment: 6.000 μB/f.u. As for the formation energy: -2.356 eV/atom.



No. 2
The following is a GGA+U calculation of crystalline La2Mo2O9 at its relaxed geometry, from the Materials Project.

a = 7.2710 Å, b = 7.2896 Å, c = 7.3494 Å
α = 89.47°, β = 88.35°, γ = 87.76°
Fractional coordinates of all 26 atoms:
O (0.3926, 0.5126, 0.6652)
O (0.3234, 0.7242, 0.3157)
O (0.4530, 0.0756, 0.4629)
O (0.1326, 0.0561, 0.2050)
O (0.7044, 0.9849, 0.1807)
Mo (0.3307, 0.3231, 0.8044)
O (0.3968, 0.7722, 0.9748)
O (0.1494, 0.2100, 0.6890)
La (0.3314, 0.8476, 0.6579)
O (0.5191, 0.1651, 0.8416)
O (0.8203, 0.3284, 0.1812)
O (0.7857, 0.4735, 0.8247)
O (0.2376, 0.4010, 0.0180)
O (0.6784, 0.6656, 0.4851)
O (0.7238, 0.8553, 0.8036)
O (0.4883, 0.3801, 0.2927)
La (0.6440, 0.6392, 0.1583)
Mo (0.6569, 0.1743, 0.3431)
O (0.0795, 0.8872, 0.8827)
O (0.9954, 0.6670, 0.1801)
O (0.0546, 0.6543, 0.5790)
La (0.1663, 0.3889, 0.3382)
La (0.8563, 0.1426, 0.9081)
Mo (0.8232, 0.6663, 0.6759)
Mo (0.1805, 0.8262, 0.1235)
O (0.8129, 0.1734, 0.5264)

Calculated values
Its space group is P1. The volume is 389 Å³ per cell. As for the total moment: 0.000 μB/f.u. As for the formation energy: -2.793 eV/atom.



No. 3
The following is a GGA+U calculation of crystalline Fe3P3PbO13 at its relaxed geometry, from the Materials Project.

a = 6.4517 Å, b = 7.7065 Å, c = 10.5678 Å
α = 80.36°, β = 90.00°, γ = 90.00°
Fractional coordinates of all 40 atoms:
P (0.2500, 0.8122, 0.6169)
O (0.2500, 0.0057, 0.5459)
O (0.7500, 0.8417, 0.1183)
O (0.2500, 0.3789, 0.5878)
Fe (0.7500, 0.8473, 0.3026)
O (0.5540, 0.2900, 0.4121)
O (0.7500, 0.5230, 0.0896)
O (0.7500, 0.4222, 0.6353)
Fe (0.0000, 0.5000, 0.5000)
O (0.9388, 0.1338, 0.7119)
O (0.2500, 0.1583, 0.8817)
P (0.7500, 0.2475, 0.7376)
O (0.0579, 0.2469, 0.0705)
O (0.7500, 0.2956, 0.8726)
Fe (0.7500, 0.2880, 0.0575)
O (0.2500, 0.7044, 0.1274)
Pb (0.2500, 0.1636, 0.2992)
Pb (0.7500, 0.8364, 0.7008)
P (0.2500, 0.7525, 0.2624)
O (0.0540, 0.7100, 0.5879)
P (0.7500, 0.7170, 0.0205)
O (0.0612, 0.8662, 0.2881)
Fe (0.2500, 0.7120, 0.9425)
O (0.2500, 0.5778, 0.3647)
O (0.9460, 0.2900, 0.4121)
Fe (0.2500, 0.1527, 0.6974)
O (0.5612, 0.1338, 0.7119)
O (0.7500, 0.9943, 0.4541)
O (0.4388, 0.8662, 0.2881)
O (0.2500, 0.8420, 0.7599)
P (0.7500, 0.1878, 0.3831)
O (0.7500, 0.1580, 0.2401)
O (0.2500, 0.4770, 0.9104)
O (0.9421, 0.7531, 0.9295)
O (0.4460, 0.7100, 0.5879)
O (0.5579, 0.7531, 0.9295)
O (0.4421, 0.2469, 0.0705)
Fe (0.5000, 0.5000, 0.5000)
P (0.2500, 0.2830, 0.9795)
O (0.7500, 0.6211, 0.4122)

Calculated values
Its space group is P2_1/m. The volume is 518 Å³ per cell. As for the formation energy: -2.292 eV/atom.



No. 4
The following is a GGA+U calculation of crystalline Li9Mn2Co5O16 at its relaxed geometry, from the Materials Project.

a = 2.8757 Å, b = 9.8002 Å, c = 10.3550 Å
α = 81.47°, β = 90.00°, γ = 90.00°
Fractional coordinates of all 32 atoms:
O (0.5000, 0.3782, 0.6962)
O (0.0000, 0.6211, 0.5788)
O (0.0000, 0.9001, 0.1782)
O (0.5000, 0.8868, 0.4402)
O (0.5000, 0.6037, 0.8275)
Li (0.5000, 0.2559, 0.3772)
O (0.0000, 0.6086, 0.0545)
Li (0.5000, 0.7441, 0.6228)
O (0.5000, 0.1157, 0.0473)
Co (0.0000, 0.5058, 0.7327)
Mn (0.0000, 0.0000, 0.5000)
O (0.0000, 0.8843, 0.7019)
O (0.5000, 0.8843, 0.9527)
Li (0.5000, 0.2659, 0.8719)
Co (0.0000, 0.4942, 0.2673)
Li (0.0000, 0.2705, 0.6084)
O (0.0000, 0.0999, 0.8218)
O (0.5000, 0.6218, 0.3038)
O (0.5000, 0.3963, 0.1725)
O (0.0000, 0.3914, 0.9455)
O (0.0000, 0.1157, 0.2981)
Co (0.5000, 0.9967, 0.7533)
Li (0.0000, 0.2651, 0.1250)
Li (0.5000, 0.7341, 0.1281)
Li (0.0000, 0.7349, 0.8750)
O (0.5000, 0.1132, 0.5598)
O (0.0000, 0.3789, 0.4212)
Co (0.5000, 0.5000, 0.0000)
Mn (0.0000, 0.0000, 0.0000)
Li (0.0000, 0.7295, 0.3916)
Co (0.5000, 0.0033, 0.2467)
Li (0.5000, 0.5000, 0.5000)

Calculated values
Its space group is P2/m. The volume is 289 Å³ per cell. The calculation puts the energy above the most stable polymorph in this dataset at 104 meV/atom. As for the total moment: 9.173 μB/f.u. As for the formation energy: -1.760 eV/atom.



No. 5
The following is a GGA+U calculation of crystalline CrP2O8 at its relaxed geometry, from the Materials Project.

a = 5.1797 Å, b = 5.1797 Å, c = 13.3462 Å
α = 76.69°, β = 76.69°, γ = 57.03°
Fractional coordinates of all 22 atoms:
O (0.7170, 0.8859, 0.0965)
O (0.8437, 0.2479, 0.6103)
O (0.5890, 0.2285, 0.4576)
P (0.3356, 0.3988, 0.3875)
O (0.2285, 0.5890, 0.9576)
O (0.6602, 0.5106, 0.2329)
P (0.6012, 0.6644, 0.1125)
O (0.7521, 0.1563, 0.8897)
O (0.1563, 0.7521, 0.3897)
O (0.8859, 0.7170, 0.5965)
P (0.3988, 0.3356, 0.8875)
O (0.1141, 0.2830, 0.4035)
P (0.6644, 0.6012, 0.6125)
O (0.4894, 0.3398, 0.2671)
Cr (0.0000, 0.0000, 0.5000)
O (0.4110, 0.7715, 0.5424)
O (0.7715, 0.4110, 0.0424)
O (0.2830, 0.1141, 0.9035)
O (0.3398, 0.4894, 0.7671)
Cr (0.0000, 0.0000, 0.0000)
O (0.2479, 0.8437, 0.1103)
O (0.5106, 0.6602, 0.7329)

Calculated values
Its space group is C2/c. The volume is 290 Å³ per cell. The calculation puts the energy above the most stable polymorph in this dataset at 80 meV/atom. As for the total moment: 2.001 μB/f.u. As for the formation energy: -2.024 eV/atom.



Number 2 is which compound? La2Mo2O9